An optimized crystal structure of Cs2Bi2Pd. Source: Materials Project, functional r²SCAN.

a b c (Å): 7.7671 15.3996 7.0042
angles (deg): 90.00 90.00 90.00
With the nearest neighbours (Å) after each atom.
Space group Cmcm (No. 63)
Inequivalent atoms, fractional coordinates:
Cs: 0.0000 0.1053 0.2500  6 Bi 3.97-4.25, 2 Cs 4.12
Cs: 0.0000 0.3061 0.7500  2 Pd 3.46
Bi: 0.1907 0.4004 0.2500  2 Pd 2.76, 1 Bi 2.96
Pd: 0.0000 0.5000 0.0000  4 Bi 2.76

## Properties
Formation energy ... -2.46 eV/f.u.
Volume ... 837.8 Å³/cell